Entry from the Materials Project database: crystalline LiMnVP2H2O10 at its relaxed geometry (GGA+U).

abc: 5.238 7.350 14.441
angles: 91.91 92.85 103.75
Sites, in units of the cell vectors:
O: 0.735 0.016 0.397
O: 0.229 0.870 0.941
O: 0.021 0.174 0.891
O: 0.343 0.479 0.591
O: 0.937 0.212 0.567
O: 0.646 0.537 0.404
O: 0.687 0.837 0.558
O: 0.977 0.825 0.109
O: 0.405 0.118 0.769
O: 0.979 0.870 0.736
O: 0.771 0.129 0.059
O: 0.406 0.688 0.064
O: 0.268 0.982 0.602
O: 0.097 0.466 0.393
O: 0.630 0.489 0.770
O: 0.931 0.649 0.269
O: 0.020 0.129 0.262
O: 0.073 0.786 0.436
O: 0.321 0.185 0.074
O: 0.593 0.880 0.231
O: 0.678 0.814 0.926
O: 0.298 0.159 0.437
O: 0.900 0.539 0.608
O: 0.433 0.799 0.727
O: 0.726 0.452 0.100
O: 0.274 0.547 0.900
O: 0.569 0.200 0.273
O: 0.075 0.354 0.730
O: 0.368 0.507 0.229
O: 0.594 0.310 0.936
Mn: 0.000 0.000 0.000
Mn: 0.333 0.333 0.333
Mn: 0.664 0.663 0.667
H: 0.452 0.102 0.436
H: 0.562 0.916 0.572
H: 0.102 0.747 0.095
H: 0.215 0.564 0.231
H: 0.784 0.433 0.769
H: 0.897 0.252 0.905
Li: 0.259 0.035 0.186
Li: 0.407 0.631 0.480
Li: 0.742 0.963 0.814
P: 0.595 0.265 0.041
P: 0.741 0.059 0.291
P: 0.071 0.399 0.624
P: 0.404 0.733 0.958
P: 0.259 0.940 0.708
P: 0.925 0.607 0.375
V: 0.335 0.339 0.833
V: 0.002 0.006 0.500
V: 0.665 0.660 0.166

Entry from the Materials Project database: crystalline LiMnVP2H2O10 at its relaxed geometry (GGA+U).

abc: 6.786 7.432 7.990
angles: 116.46 89.98 91.11
Sites, in units of the cell vectors:
P: 0.400 0.275 0.049
P: 0.600 0.725 0.951
P: 0.100 0.223 0.454
P: 0.900 0.777 0.546
Mn: 0.500 0.500 0.500
Mn: 0.000 0.000 0.000
O: 0.486 0.787 0.138
O: 0.088 0.762 0.040
O: 0.453 0.666 0.791
O: 0.547 0.334 0.209
O: 0.763 0.956 0.581
O: 0.261 0.453 0.077
O: 0.410 0.729 0.445
O: 0.231 0.412 0.490
O: 0.739 0.547 0.923
O: 0.514 0.213 0.862
O: 0.731 0.906 0.972
O: 0.912 0.238 0.960
O: 0.590 0.271 0.555
O: 0.956 0.179 0.295
O: 0.769 0.588 0.510
O: 0.044 0.821 0.705
O: 0.269 0.094 0.028
O: 0.237 0.044 0.419
O: 0.008 0.709 0.353
O: 0.992 0.291 0.647
H: 0.965 0.681 0.025
H: 0.035 0.319 0.975
H: 0.516 0.834 0.497
H: 0.484 0.166 0.503
Li: 0.173 0.617 0.762
Li: 0.827 0.383 0.238
V: 0.745 0.250 0.750
V: 0.255 0.750 0.250

Entry from the Materials Project database: crystalline Li2MnVP2H2O10 at its relaxed geometry (GGA+U).

abc: 5.164 5.499 19.820
angles: 94.71 96.92 99.60
Sites, in units of the cell vectors:
O: 0.087 0.576 0.205
O: 0.174 0.653 0.708
O: 0.255 0.202 0.449
O: 0.761 0.793 0.551
O: 0.516 0.963 0.373
O: 0.265 0.739 0.460
O: 0.086 0.114 0.221
O: 0.823 0.366 0.293
O: 0.155 0.702 0.960
O: 0.913 0.429 0.795
O: 0.490 0.020 0.625
O: 0.323 0.430 0.311
O: 0.843 0.298 0.040
O: 0.674 0.571 0.690
O: 0.579 0.090 0.128
O: 0.066 0.867 0.093
O: 0.015 0.893 0.358
O: 0.904 0.889 0.781
O: 0.581 0.550 0.112
O: 0.735 0.529 0.425
O: 0.599 0.800 0.240
O: 0.655 0.765 0.976
O: 0.342 0.234 0.023
O: 0.992 0.107 0.643
O: 0.267 0.470 0.577
O: 0.398 0.202 0.757
O: 0.743 0.254 0.540
O: 0.931 0.135 0.907
O: 0.414 0.450 0.887
O: 0.416 0.913 0.872
Li: 0.195 0.551 0.059
Li: 0.865 0.212 0.392
Li: 0.803 0.450 0.940
Li: 0.471 0.114 0.274
Li: 0.139 0.788 0.611
Li: 0.526 0.885 0.724
P: 0.403 0.713 0.922
P: 0.926 0.630 0.745
P: 0.074 0.378 0.256
P: 0.737 0.047 0.588
P: 0.593 0.287 0.078
P: 0.269 0.945 0.412
H: 0.418 0.711 0.219
H: 0.087 0.382 0.556
H: 0.750 0.045 0.886
H: 0.247 0.956 0.114
H: 0.580 0.293 0.778
H: 0.916 0.612 0.446
Mn: 0.832 0.833 0.166
Mn: 0.333 0.337 0.667
Mn: 0.162 0.170 0.833
V: 0.670 0.663 0.333
V: 0.505 0.497 0.501
V: 0.998 0.000 0.000

Entry from the Materials Project database: crystalline Li2MnVP2H2O10 at its relaxed geometry (GGA+U).

abc: 5.211 7.406 10.708
angles: 104.99 96.91 107.99
Sites, in units of the cell vectors:
O: 0.754 0.455 0.368
O: 0.712 0.950 0.832
O: 0.632 0.995 0.333
O: 0.288 0.050 0.168
O: 0.308 0.183 0.475
O: 0.764 0.060 0.131
O: 0.788 0.560 0.681
O: 0.401 0.727 0.107
O: 0.368 0.005 0.667
O: 0.599 0.273 0.893
O: 0.820 0.702 0.978
O: 0.180 0.298 0.022
O: 0.149 0.777 0.399
O: 0.246 0.545 0.632
O: 0.851 0.223 0.601
O: 0.874 0.524 0.169
O: 0.236 0.940 0.869
O: 0.692 0.817 0.525
O: 0.212 0.440 0.319
O: 0.126 0.476 0.831
Li: 0.056 0.137 0.301
Li: 0.542 0.620 0.803
Li: 0.458 0.380 0.197
Li: 0.944 0.863 0.699
Mn: 0.500 0.500 0.500
Mn: 0.000 0.500 0.000
P: 0.004 0.549 0.315
P: 0.996 0.451 0.685
P: 0.512 0.952 0.182
P: 0.488 0.048 0.818
V: 0.000 0.000 0.000
V: 0.500 0.000 0.500
H: 0.174 0.184 0.532
H: 0.322 0.304 0.966
H: 0.826 0.816 0.468
H: 0.678 0.696 0.034

| no. | electronic total energy (eV/atom) | ρ (kg/m³) | relative energy among the computed polymorphs (meV per atom) |
| --- | --- | --- | --- |
| 1 | -6.860 | 3114 | 2 |
| 2 | -6.861 | 3101 | 2 |
| 3 | -6.790 | 3125 | 13 |
| 4 | -6.785 | 3080 | 18 |